PBE-GGA Li2Ni12P7, relaxed; energy of formation from the pure elements = -0.580 eV/atom; energy = -5.87 eV/atom
1.0
8.998 0.000 0.000
-4.499 7.793 0.000
0.000 0.000 3.532
Li Ni P
2 12 7
direct
0.000 0.000 0.000
0.333 0.667 0.500
0.051 0.769 0.500
0.101 0.394 0.000
0.231 0.282 0.500
0.293 0.899 0.000
0.389 0.215 0.000
0.541 0.114 0.500
0.573 0.459 0.500
0.606 0.707 0.000
0.718 0.949 0.500
0.785 0.174 0.000
0.826 0.611 0.000
0.886 0.427 0.500
0.085 0.628 0.000
0.254 0.041 0.500
0.372 0.456 0.000
0.544 0.915 0.000
0.667 0.333 0.000
0.787 0.746 0.500
0.959 0.213 0.500


PBE-GGA ErCuPbSe3, relaxed; energy of formation from the pure elements = -1.235 eV/atom; energy = -4.81 eV/atom
1.0
10.568 0.000 0.000
0.000 4.049 0.000
0.000 0.000 13.634
Er Cu Pb Se
4 4 4 12
direct
0.011 0.250 0.244
0.489 0.750 0.744
0.511 0.250 0.256
0.989 0.750 0.756
0.243 0.250 0.718
0.257 0.750 0.218
0.743 0.250 0.782
0.757 0.750 0.282
0.231 0.750 0.506
0.269 0.250 0.006
0.731 0.750 0.994
0.769 0.250 0.494
0.051 0.250 0.614
0.076 0.750 0.107
0.242 0.750 0.828
0.258 0.250 0.328
0.424 0.250 0.607
0.449 0.750 0.114
0.551 0.250 0.886
0.576 0.750 0.393
0.742 0.750 0.672
0.758 0.250 0.172
0.924 0.250 0.893
0.949 0.750 0.386


PBE-GGA Cs3Er2I9, relaxed; energy of formation from the pure elements = -1.741 eV/atom; energy = -3.32 eV/atom
1.0
8.714 0.000 0.000
-4.357 7.546 0.000
0.000 0.000 21.707
Cs Er I
6 4 18
direct
0.000 0.000 0.250
0.000 0.000 0.750
0.333 0.667 0.070
0.333 0.667 0.430
0.667 0.333 0.570
0.667 0.333 0.930
0.333 0.667 0.656
0.333 0.667 0.844
0.667 0.333 0.156
0.667 0.333 0.344
0.017 0.509 0.750
0.168 0.335 0.587
0.168 0.335 0.913
0.168 0.832 0.587
0.168 0.832 0.913
0.335 0.168 0.087
0.335 0.168 0.413
0.491 0.509 0.750
0.491 0.983 0.750
0.509 0.017 0.250
0.509 0.491 0.250
0.665 0.832 0.587
0.665 0.832 0.913
0.832 0.168 0.087
0.832 0.168 0.413
0.832 0.665 0.087
0.832 0.665 0.413
0.983 0.491 0.250


PBE-GGA Sn2Rh, relaxed; energy of formation from the pure elements = -0.399 eV/atom; energy = -5.53 eV/atom
1.0
6.498 0.000 0.000
0.000 6.498 0.000
0.000 0.000 5.790
Sn Rh
8 4
direct
0.162 0.338 0.000
0.162 0.662 0.500
0.338 0.162 0.500
0.338 0.838 0.000
0.662 0.162 0.000
0.662 0.838 0.500
0.838 0.338 0.500
0.838 0.662 0.000
0.000 0.000 0.250
0.000 0.000 0.750
0.500 0.500 0.250
0.500 0.500 0.750


PBE-GGA HoTlO2, relaxed; energy of formation from the pure elements = -2.729 eV/atom; energy = -6.60 eV/atom
1.0
3.474 0.000 0.000
-1.737 3.009 0.000
0.000 0.000 19.498
Ho Tl O
3 3 6
direct
0.000 0.000 0.000
0.333 0.667 0.667
0.667 0.333 0.333
0.000 0.000 0.500
0.333 0.667 0.167
0.667 0.333 0.833
0.000 0.000 0.277
0.000 0.000 0.723
0.333 0.667 0.390
0.333 0.667 0.943
0.667 0.333 0.057
0.667 0.333 0.610


PBE-GGA Ce2CuSi3, relaxed; energy of formation from the pure elements = -0.622 eV/atom; energy = -6.03 eV/atom
1.0
4.111 0.000 0.000
-2.056 3.560 0.000
0.000 0.000 8.061
Ce Cu Si
2 1 3
direct
0.000 0.000 0.248
0.000 0.000 0.752
0.333 0.667 0.500
0.333 0.667 0.000
0.667 0.333 0.000
0.667 0.333 0.500


PBE-GGA BaPHO4, relaxed; energy of formation from the pure elements = -2.780 eV/atom; ΔE to the lowest computed polymorph = 26.4 meV per atom; energy = -6.75 eV/atom
1.0
7.161 -11.590 0.000
7.161 11.590 0.000
-0.203 0.000 4.728
Ba P H O
8 8 8 32
direct
0.000 0.000 0.000
0.173 0.413 0.719
0.280 0.795 0.070
0.413 0.173 0.719
0.509 0.509 0.217
0.669 0.927 0.545
0.795 0.280 0.070
0.927 0.669 0.545
0.019 0.522 0.113
0.166 0.922 0.583
0.269 0.269 0.138
0.413 0.663 0.626
0.522 0.019 0.113
0.663 0.413 0.626
0.768 0.768 0.098
0.922 0.166 0.583
0.188 0.590 0.375
0.190 0.190 0.521
0.235 0.992 0.162
0.480 0.735 0.061
0.590 0.188 0.375
0.692 0.692 0.693
0.735 0.480 0.061
0.992 0.235 0.162
0.047 0.638 0.018
0.054 0.912 0.482
0.137 0.528 0.244
0.166 0.810 0.597
0.174 0.174 0.310
0.204 0.991 0.865
0.236 0.236 0.824
0.261 0.992 0.369
0.270 0.380 0.215
0.297 0.659 0.586
0.380 0.270 0.215
0.406 0.555 0.733
0.432 0.992 0.881
0.476 0.761 0.860
0.483 0.698 0.361
0.485 0.932 0.336
0.528 0.137 0.244
0.555 0.406 0.733
0.638 0.047 0.018
0.659 0.297 0.586
0.673 0.673 0.899
0.698 0.483 0.361
0.735 0.735 0.401
0.761 0.476 0.860
0.768 0.879 0.030
0.810 0.166 0.597
0.879 0.768 0.030
0.912 0.054 0.482
0.932 0.485 0.336
0.991 0.204 0.865
0.992 0.261 0.369
0.992 0.432 0.881


PBE-GGA ThP2H2O8, relaxed; energy of formation from the pure elements = -1.942 eV/atom; energy = -6.49 eV/atom
1.0
8.757 0.000 0.000
0.000 9.577 0.000
0.000 0.000 19.532
Th P H O
8 16 16 64
direct
0.014 0.134 0.128
0.014 0.366 0.628
0.486 0.634 0.128
0.486 0.866 0.628
0.514 0.134 0.372
0.514 0.366 0.872
0.986 0.634 0.372
0.986 0.866 0.872
0.086 0.514 0.187
0.086 0.986 0.687
0.237 0.595 0.967
0.237 0.905 0.467
0.263 0.095 0.967
0.263 0.405 0.467
0.414 0.014 0.187
0.414 0.486 0.687
0.586 0.514 0.313
0.586 0.986 0.813
0.737 0.595 0.533
0.737 0.905 0.033
0.763 0.095 0.533
0.763 0.405 0.033
0.914 0.014 0.313
0.914 0.486 0.813
0.021 0.081 0.356
0.021 0.419 0.856
0.135 0.007 0.492
0.135 0.493 0.992
0.365 0.507 0.492
0.365 0.993 0.992
0.479 0.581 0.356
0.479 0.919 0.856
0.521 0.081 0.144
0.521 0.419 0.644
0.635 0.007 0.008
0.635 0.493 0.508
0.865 0.507 0.008
0.865 0.993 0.508
0.979 0.581 0.144
0.979 0.919 0.644
0.044 0.547 0.262
0.044 0.953 0.762
0.057 0.622 0.600
0.057 0.878 0.100
0.069 0.145 0.672
0.069 0.355 0.172
0.144 0.723 0.945
0.144 0.777 0.445
0.147 0.127 0.023
0.147 0.373 0.523
0.185 0.022 0.905
0.185 0.478 0.405
0.188 0.740 0.808
0.188 0.760 0.308
0.244 0.565 0.167
0.244 0.935 0.667
0.256 0.065 0.167
0.256 0.435 0.667
0.312 0.240 0.808
0.312 0.260 0.308
0.315 0.522 0.905
0.315 0.978 0.405
0.353 0.627 0.023
0.353 0.873 0.523
0.356 0.223 0.945
0.356 0.277 0.445
0.431 0.645 0.672
0.431 0.855 0.172
0.443 0.122 0.600
0.443 0.378 0.100
0.456 0.047 0.262
0.456 0.453 0.762
0.544 0.547 0.238
0.544 0.953 0.738
0.557 0.622 0.900
0.557 0.878 0.400
0.569 0.145 0.828
0.569 0.355 0.328
0.644 0.723 0.555
0.644 0.777 0.055
0.647 0.127 0.477
0.647 0.373 0.977
0.685 0.022 0.595
0.685 0.478 0.095
0.688 0.740 0.692
0.688 0.760 0.192
0.744 0.565 0.333
0.744 0.935 0.833
0.756 0.065 0.333
0.756 0.435 0.833
0.812 0.240 0.692
0.812 0.260 0.192
0.815 0.522 0.595
0.815 0.978 0.095
0.853 0.627 0.477
0.853 0.873 0.977
0.856 0.223 0.555
0.856 0.277 0.055
0.931 0.645 0.828
0.931 0.855 0.328
0.943 0.122 0.900
0.943 0.378 0.400
0.956 0.047 0.238
0.956 0.453 0.738


PBE-GGA SmAl2Cl8, relaxed; energy of formation from the pure elements = -2.048 eV/atom; energy = -4.06 eV/atom
1.0
7.333 0.000 0.000
0.000 6.947 0.000
-0.918 0.000 12.711
Sm Al Cl
2 4 16
direct
0.000 0.158 0.250
0.000 0.842 0.750
0.174 0.262 0.920
0.174 0.738 0.420
0.826 0.262 0.580
0.826 0.738 0.080
0.106 0.173 0.620
0.106 0.827 0.120
0.232 0.305 0.087
0.232 0.695 0.587
0.239 0.471 0.341
0.239 0.529 0.841
0.329 0.025 0.860
0.329 0.975 0.360
0.671 0.025 0.640
0.671 0.975 0.140
0.761 0.471 0.159
0.761 0.529 0.659
0.768 0.305 0.413
0.768 0.695 0.913
0.894 0.173 0.880
0.894 0.827 0.380


PBE-GGA CoNi2S4, relaxed; energy of formation from the pure elements = -0.611 eV/atom; energy = -5.35 eV/atom
1.0
5.181 0.000 0.000
0.000 3.368 0.000
-0.266 0.000 5.912
Co Ni S
1 2 4
direct
0.000 0.000 0.000
0.000 0.500 0.500
0.500 0.000 0.000
0.215 0.000 0.679
0.246 0.500 0.164
0.754 0.500 0.836
0.785 0.000 0.321


PBE-GGA NpP, relaxed; energy of formation from the pure elements = -0.872 eV/atom; energy = -10.05 eV/atom
1.0
5.614 0.000 0.000
0.000 5.614 0.000
0.000 0.000 5.614
Np P
4 4
direct
0.000 0.000 0.000
0.000 0.500 0.500
0.500 0.000 0.500
0.500 0.500 0.000
0.000 0.000 0.500
0.000 0.500 0.000
0.500 0.000 0.000
0.500 0.500 0.500


PBE-GGA Ba2YSn3O8, relaxed; energy of formation from the pure elements = -2.483 eV/atom; energy = -6.51 eV/atom
1.0
4.304 0.000 0.000
0.000 4.304 0.000
0.000 0.000 11.727
Ba Y Sn O
2 1 3 8
direct
0.000 0.000 0.170
0.000 0.000 0.830
0.000 0.000 0.500
0.500 0.500 0.000
0.500 0.500 0.366
0.500 0.500 0.634
0.000 0.500 0.000
0.000 0.500 0.374
0.000 0.500 0.626
0.500 0.000 0.000
0.500 0.000 0.374
0.500 0.000 0.626
0.500 0.500 0.186
0.500 0.500 0.814


PBE-GGA VS2, relaxed; energy of formation from the pure elements = -1.183 eV/atom; energy = -6.63 eV/atom
1.0
5.529 0.000 0.000
0.000 3.192 0.000
-2.454 0.000 11.080
V S
2 4
direct
0.000 0.000 0.000
0.500 0.500 0.000
0.108 0.500 0.867
0.392 0.000 0.133
0.608 0.000 0.867
0.892 0.500 0.133


PBE-GGA CuB2C8N8, relaxed; energy of formation from the pure elements = 0.190 eV/atom; energy = -7.97 eV/atom
1.0
6.707 -3.654 0.000
6.707 3.654 0.000
-0.409 0.000 6.092
Cu B C N
1 2 8 8
direct
0.000 0.000 0.000
0.335 0.335 0.650
0.665 0.665 0.350
0.214 0.567 0.751
0.223 0.223 0.715
0.339 0.339 0.391
0.433 0.786 0.249
0.567 0.214 0.751
0.661 0.661 0.609
0.777 0.777 0.285
0.786 0.433 0.249
0.125 0.736 0.824
0.140 0.140 0.761
0.264 0.875 0.176
0.341 0.341 0.201
0.659 0.659 0.799
0.736 0.125 0.824
0.860 0.860 0.239
0.875 0.264 0.176


PBE-GGA MgSbPt, relaxed; energy of formation from the pure elements = -0.711 eV/atom; energy = -4.64 eV/atom
1.0
6.356 0.000 0.000
0.000 6.356 0.000
0.000 0.000 6.356
Mg Sb Pt
4 4 4
direct
0.000 0.000 0.000
0.000 0.500 0.500
0.500 0.000 0.500
0.500 0.500 0.000
0.000 0.000 0.500
0.000 0.500 0.000
0.500 0.000 0.000
0.500 0.500 0.500
0.250 0.250 0.250
0.250 0.750 0.750
0.750 0.250 0.750
0.750 0.750 0.250